No. 1
DFT (PBE) results for a geometry-optimized NaCaH3 structure. Values from VASP.

Geometry as Quantum ESPRESSO input:
```
&SYSTEM
  ibrav = 0, nat = 10, ntyp = 3
/
ATOMIC_SPECIES
Na 22.99 Na.upf
Ca 40.08 Ca.upf
H 1.01 H.upf
CELL_PARAMETERS angstrom
-1.203 2.230 5.562
-3.652 -2.863 3.977
2.099 -2.602 5.116
ATOMIC_POSITIONS crystal
Na 0.717 0.717 0.717
Na 0.217 0.217 0.217
Ca 0.499 0.499 0.499
Ca 0.999 0.999 0.999
H 0.807 0.115 0.383
H 0.115 0.383 0.807
H 0.383 0.807 0.115
H 0.307 0.883 0.615
H 0.883 0.615 0.307
H 0.615 0.307 0.883
```

Formation energy from the elements   -444 meV/atom
Theoretical density   1.446 g/cm3
Offset from the most stable computed form   5.9 meV per atom
Space group   No. 161
Total DFT energy (no corrections)   -3.0377 eV/atom

No. 2
DFT (PBE) results for a geometry-optimized Na2CaP2H16S6O8 structure. Values from VASP.

Geometry as Quantum ESPRESSO input:
```
&SYSTEM
  ibrav = 0, nat = 70, ntyp = 6
/
ATOMIC_SPECIES
Na 22.99 Na.upf
Ca 40.08 Ca.upf
P 30.97 P.upf
H 1.01 H.upf
S 32.06 S.upf
O 16.00 O.upf
CELL_PARAMETERS angstrom
2.526 5.830 -5.994
-6.317 2.764 5.362
10.075 -0.017 9.467
ATOMIC_POSITIONS crystal
Na 0.000 0.500 0.000
Na 0.000 0.000 0.500
Na 0.425 0.175 0.250
Na 0.575 0.825 0.750
Ca 0.001 0.751 0.250
Ca 0.999 0.249 0.750
P 0.604 0.959 0.042
P 0.417 0.562 0.458
P 0.396 0.041 0.958
P 0.583 0.438 0.542
H 0.628 0.705 0.201
H 0.004 0.426 0.299
H 0.372 0.295 0.799
H 0.996 0.574 0.701
H 0.657 0.634 0.299
H 0.836 0.359 0.201
H 0.343 0.366 0.701
H 0.164 0.641 0.799
H 0.027 0.025 0.126
H 0.399 0.900 0.374
H 0.973 0.975 0.874
H 0.601 0.100 0.626
H 0.117 0.926 0.081
H 0.346 0.036 0.419
H 0.883 0.074 0.919
H 0.654 0.964 0.581
H 0.705 0.478 0.058
H 0.920 0.647 0.442
H 0.295 0.522 0.942
H 0.080 0.353 0.558
H 0.756 0.653 0.027
H 0.127 0.729 0.473
H 0.244 0.347 0.973
H 0.873 0.271 0.527
H 0.221 0.573 0.218
H 0.855 0.003 0.282
H 0.779 0.427 0.782
H 0.145 0.997 0.718
H 0.305 0.736 0.173
H 0.063 0.132 0.327
H 0.695 0.264 0.827
H 0.937 0.868 0.673
S 0.549 0.735 0.947
S 0.287 0.602 0.553
S 0.451 0.265 0.053
S 0.713 0.398 0.447
S 0.852 0.156 0.064
S 0.593 0.788 0.436
S 0.148 0.844 0.936
S 0.407 0.212 0.564
S 0.571 0.937 0.182
S 0.254 0.389 0.318
S 0.429 0.063 0.818
S 0.746 0.611 0.682
O 0.685 0.638 0.234
O 0.904 0.451 0.266
O 0.315 0.362 0.766
O 0.096 0.549 0.734
O 0.102 0.966 0.146
O 0.320 0.955 0.354
O 0.898 0.034 0.854
O 0.680 0.045 0.646
O 0.812 0.587 0.062
O 0.025 0.751 0.438
O 0.188 0.413 0.938
O 0.975 0.249 0.562
O 0.189 0.648 0.177
O 0.971 0.012 0.323
O 0.811 0.352 0.823
O 0.029 0.988 0.677
```

Formation energy from the elements   -1260 meV/atom
Theoretical density   1.796 g/cm3
Space group   No. 15
Total DFT energy (no corrections)   -4.8502 eV/atom

No. 3
DFT (PBE) results for a geometry-optimized Na2CaSi10H6O20 structure. Values from VASP.

Geometry as Quantum ESPRESSO input:
```
&SYSTEM
  ibrav = 0, nat = 78, ntyp = 5
/
ATOMIC_SPECIES
Na 22.99 Na.upf
Ca 40.08 Ca.upf
Si 28.09 Si.upf
H 1.01 H.upf
O 16.00 O.upf
CELL_PARAMETERS angstrom
0.000 -6.545 0.000
-13.100 0.000 0.000
0.000 0.000 -13.067
ATOMIC_POSITIONS crystal
Na 0.746 0.000 0.551
Na 0.254 0.000 0.449
Na 0.254 0.500 0.051
Na 0.746 0.500 0.949
Ca 0.000 0.000 0.000
Ca 0.000 0.500 0.500
Si 0.375 0.750 0.750
Si 0.625 0.250 0.250
Si 0.625 0.750 0.250
Si 0.375 0.250 0.750
Si 0.751 0.882 0.799
Si 0.249 0.118 0.201
Si 0.249 0.618 0.299
Si 0.751 0.618 0.701
Si 0.751 0.382 0.701
Si 0.249 0.382 0.299
Si 0.249 0.882 0.201
Si 0.751 0.118 0.799
Si 0.998 0.704 0.884
Si 0.002 0.296 0.116
Si 0.002 0.796 0.384
Si 0.998 0.796 0.616
Si 0.998 0.204 0.616
Si 0.002 0.204 0.384
Si 0.002 0.704 0.116
Si 0.998 0.296 0.884
H 0.500 0.583 0.000
H 0.500 0.417 0.000
H 0.500 0.917 0.500
H 0.500 0.083 0.500
H 0.437 0.000 0.576
H 0.563 0.000 0.424
H 0.563 0.500 0.076
H 0.437 0.500 0.924
H 0.234 0.000 0.889
H 0.766 0.000 0.111
H 0.766 0.500 0.389
H 0.234 0.500 0.611
O 0.761 0.000 0.840
O 0.239 0.000 0.160
O 0.239 0.500 0.340
O 0.761 0.500 0.660
O 0.772 0.792 0.341
O 0.228 0.208 0.659
O 0.228 0.708 0.841
O 0.772 0.708 0.159
O 0.772 0.292 0.159
O 0.228 0.292 0.841
O 0.228 0.792 0.659
O 0.772 0.208 0.341
O 0.521 0.839 0.797
O 0.479 0.161 0.203
O 0.479 0.661 0.297
O 0.521 0.661 0.703
O 0.521 0.339 0.703
O 0.479 0.339 0.297
O 0.479 0.839 0.203
O 0.521 0.161 0.797
O 0.890 0.818 0.884
O 0.110 0.182 0.116
O 0.110 0.682 0.384
O 0.890 0.682 0.616
O 0.890 0.318 0.616
O 0.110 0.318 0.384
O 0.110 0.818 0.116
O 0.890 0.182 0.884
O 0.000 0.658 0.000
O 0.000 0.342 0.000
O 0.000 0.842 0.500
O 0.000 0.158 0.500
O 0.857 0.874 0.685
O 0.143 0.126 0.315
O 0.143 0.626 0.185
O 0.857 0.626 0.815
O 0.857 0.374 0.815
O 0.143 0.374 0.185
O 0.143 0.874 0.315
O 0.857 0.126 0.685
```

Formation energy from the elements   -2361 meV/atom
Theoretical density   2.054 g/cm3
Space group   No. 53
Total DFT energy (no corrections)   -6.5779 eV/atom

- The lowest formation energy from the elements belongs to which entry?
  Na2CaSi10H6O20

- Among the records above, which one has the highest formation energy from the elements?
  NaCaH3

- Among the records above, which one has the highest theoretical density?
  Na2CaSi10H6O20